#1
# Li3Ni2P3O12

A geometry-optimized Li3Ni2P3O12 structure (GGA+U, Materials Project).

a b c (Å): 4.8982 4.8982 18.8091
angles (deg): 89.90 89.90 65.81
Positions (direct):
P: 0.3548 0.3548 0.2479
O: 0.7489 0.7489 0.1528
O: 0.7648 0.2952 0.4199
O: 0.2511 0.2511 0.8472
O: 0.7759 0.2967 0.0830
O: 0.2352 0.7048 0.5801
O: 0.2967 0.7759 0.0830
Ni: 0.0000 0.0000 0.5000
O: 0.7033 0.2325 0.2464
Li: 0.0003 0.0003 0.6664
O: 0.2546 0.2546 0.6503
O: 0.7577 0.7577 0.8173
Li: 0.3277 0.3277 0.4163
P: 0.6452 0.6452 0.7521
O: 0.7539 0.7539 0.0163
O: 0.2564 0.2564 0.3181
Ni: 0.0006 0.0006 0.1658
P: 0.6438 0.6438 0.4189
O: 0.2325 0.7033 0.2464
Li: 0.6723 0.6723 0.5837
Li: 0.3289 0.3289 0.7482
O: 0.7547 0.7547 0.4850
Ni: 0.9994 0.9994 0.8342
Li: 0.9997 0.9997 0.3336
O: 0.7048 0.2352 0.5801
O: 0.7436 0.7436 0.6819
P: 0.3547 0.3547 0.9164
O: 0.7675 0.2967 0.7536
Ni: 0.0000 0.0000 0.0000
O: 0.2952 0.7648 0.4199
P: 0.6453 0.6453 0.0836
O: 0.2423 0.2423 0.1827
Li: 0.6711 0.6711 0.2518
O: 0.2453 0.2453 0.5150
O: 0.2967 0.7675 0.7536
O: 0.2241 0.7034 0.9170
O: 0.7034 0.2241 0.9170
O: 0.2461 0.2461 0.9837
P: 0.3562 0.3562 0.5811
O: 0.7454 0.7454 0.3497

***

#2
# Li3Ni2P3O12

A geometry-optimized Li3Ni2P3O12 structure (GGA+U, Materials Project).

a b c (Å): 9.7767 9.7767 9.7490
angles (deg): 86.61 86.61 86.32
Positions (direct):
O: 0.5258 0.6132 0.6426
Li: 0.4656 0.2663 0.0960
O: 0.4082 0.3006 0.5472
O: 0.7015 0.0849 0.1562
P: 0.8248 0.1541 0.2029
O: 0.0902 0.1964 0.4385
Li: 0.5499 0.7274 0.3990
P: 0.8459 0.1752 0.7971
O: 0.4647 0.3812 0.8518
Li: 0.2726 0.4501 0.6010
O: 0.6885 0.1830 0.8360
O: 0.8933 0.0346 0.8654
O: 0.5926 0.6935 0.9472
O: 0.9108 0.7965 0.0420
O: 0.3868 0.4742 0.3574
O: 0.1978 0.7017 0.3430
P: 0.1724 0.8562 0.2999
Li: 0.2304 0.1531 0.2848
Li: 0.3167 0.9809 0.5366
P: 0.3240 0.4509 0.8972
Li: 0.9749 0.3369 0.0224
P: 0.3551 0.0448 0.9217
Ni: 0.9651 0.0349 0.5000
O: 0.1074 0.9715 0.6312
O: 0.2081 0.4189 0.8081
O: 0.8764 0.1709 0.6368
O: 0.6188 0.5353 0.1482
Ni: 0.4653 0.7489 0.7810
Li: 0.6631 0.0251 0.9776
Li: 0.0191 0.6833 0.4634
O: 0.3768 0.8833 0.9172
O: 0.9151 0.2985 0.8438
Li: 0.7337 0.5344 0.9040
O: 0.1167 0.6232 0.0828
O: 0.7789 0.5880 0.7016
O: 0.3880 0.6662 0.1256
O: 0.6221 0.1119 0.5795
O: 0.6641 0.3861 0.6279
P: 0.1438 0.8276 0.7001
O: 0.8036 0.9098 0.5615
P: 0.9552 0.6449 0.0783
O: 0.8170 0.3115 0.1640
O: 0.2035 0.0892 0.9580
Ni: 0.2511 0.5347 0.2190
Ni: 0.7486 0.2514 0.5000
O: 0.8881 0.3779 0.4205
O: 0.0900 0.4384 0.5403
P: 0.6705 0.5466 0.6065
O: 0.3065 0.4074 0.0528
O: 0.8951 0.6078 0.2251
Ni: 0.5280 0.2450 0.7135
O: 0.9654 0.1067 0.1346
P: 0.4534 0.3295 0.3935
P: 0.5491 0.6760 0.1028
Li: 0.8469 0.7696 0.7152
O: 0.6033 0.8836 0.7175
P: 0.0485 0.3526 0.4247
Li: 0.5411 0.9868 0.2555
O: 0.0285 0.8926 0.3688
O: 0.4529 0.0860 0.0273
O: 0.3338 0.6120 0.8744
O: 0.3922 0.1049 0.7749
P: 0.6474 0.9515 0.5753
O: 0.1164 0.3967 0.2825
O: 0.8291 0.1236 0.3632
O: 0.2983 0.8022 0.6570
O: 0.0486 0.7204 0.6582
O: 0.5811 0.7919 0.1919
O: 0.5616 0.9100 0.4597
O: 0.6994 0.5918 0.4528
O: 0.9140 0.5471 0.9727
Li: 0.0132 0.4589 0.7445
Ni: 0.7550 0.4720 0.2865
Ni: 0.2493 0.7507 0.0000
O: 0.1650 0.8767 0.1389
Ni: 0.0319 0.9681 0.0000
O: 0.4120 0.2211 0.2984
O: 0.1233 0.8350 0.8611
O: 0.2796 0.9514 0.3418
O: 0.6139 0.3359 0.3721

***

#1 (0.040 eV/atom below the next structure)